# Li7Ti5O12, optimized geometry, DFT GGA-PBE
data_Li7Ti5O12
_chemical_formula_sum 'Li14 Ti10 O24'
_cell_length_a 5.080
_cell_length_b 8.801
_cell_length_c 9.982
_cell_angle_alpha 90.00
_cell_angle_beta 99.71
_cell_angle_gamma 90.00
_symmetry_space_group_name_H-M 'C 1 2/m 1'
_symmetry_Int_Tables_number 12
loop_
_symmetry_equiv_pos_as_xyz
'x,y,z'
'-x,-y,-z'
'-x,y,-z'
'x,-y,z'
'x+1/2,y+1/2,z'
'-x+1/2,-y+1/2,-z'
'-x+1/2,y+1/2,-z'
'x+1/2,-y+1/2,z'
loop_
_atom_site_label
_atom_site_fract_x
_atom_site_fract_y
_atom_site_fract_z
Li1 0.000 0.000 0.000
Li2 0.244 0.166 0.244
Li3 0.246 0.000 0.757
Ti1 0.000 0.171 0.500
Ti2 0.000 0.333 0.000
Ti3 0.000 0.500 0.500
O1 0.108 0.500 0.887
O2 0.127 0.000 0.379
O3 0.127 0.329 0.381
O4 0.140 0.177 0.887
# energy of formation: -2966.3 meV per atom
# E: -7.30 eV/atom

---

# Li2TiO3, optimized geometry, DFT GGA-PBE
data_Li2TiO3
_chemical_formula_sum 'Li8 Ti4 O12'
_cell_length_a 5.219
_cell_length_b 8.669
_cell_length_c 5.087
_cell_angle_alpha 90.00
_cell_angle_beta 112.09
_cell_angle_gamma 90.00
_symmetry_space_group_name_H-M 'C 1 2/c 1'
_symmetry_Int_Tables_number 15
loop_
_symmetry_equiv_pos_as_xyz
'x,y,z'
'-x,-y,-z'
'-x,y,-z+1/2'
'x,-y,z+1/2'
'x+1/2,y+1/2,z'
'-x+1/2,-y+1/2,-z'
'-x+1/2,y+1/2,-z+1/2'
'x+1/2,-y+1/2,z+1/2'
loop_
_atom_site_label
_atom_site_fract_x
_atom_site_fract_y
_atom_site_fract_z
Li1 0.000 0.081 0.250
Li2 0.000 0.245 0.750
Ti1 0.000 0.411 0.250
O1 0.222 0.426 0.012
O2 0.250 0.250 0.500
# energy of formation: -2971.2 meV per atom
# E: -7.05 eV/atom

---

# Li2Ti2O5, optimized geometry, DFT GGA-PBE
data_Li2Ti2O5
_chemical_formula_sum 'Li8 Ti8 O20'
_cell_length_a 5.882
_cell_length_b 5.344
_cell_length_c 15.847
_cell_angle_alpha 90.00
_cell_angle_beta 90.00
_cell_angle_gamma 90.00
_symmetry_space_group_name_H-M 'P b c n'
_symmetry_Int_Tables_number 60
loop_
_symmetry_equiv_pos_as_xyz
'x,y,z'
'-x,-y,-z'
'-x+1/2,-y+1/2,z+1/2'
'x+1/2,y+1/2,-z+1/2'
'x+1/2,-y+1/2,-z'
'-x+1/2,y+1/2,z'
'-x,y,-z+1/2'
'x,-y,z+1/2'
loop_
_atom_site_label
_atom_site_fract_x
_atom_site_fract_y
_atom_site_fract_z
Li1 0.099 0.181 0.049
Ti1 0.092 0.310 0.857
O1 0.000 0.226 0.750
O2 0.088 0.192 0.563
O3 0.126 0.345 0.373
# energy of formation: -3120.2 meV per atom
# E above lowest polymorph: 0.073 eV/f.u.
# E: -7.67 eV/atom

---

# Li7Ti16O32, optimized geometry, DFT GGA-PBE
data_Li7Ti16O32
_chemical_formula_sum 'Li14 Ti32 O64'
_cell_length_a 8.464
_cell_length_b 8.464
_cell_length_c 16.928
_cell_angle_alpha 90.00
_cell_angle_beta 90.00
_cell_angle_gamma 90.00
_symmetry_space_group_name_H-M 'I -4 2 m'
_symmetry_Int_Tables_number 121
_symmetry_space_group_name_Hall 'I -4 2'
loop_
_atom_site_label
_atom_site_fract_x
_atom_site_fract_y
_atom_site_fract_z
Li1 0.000 0.000 0.000
Li2 0.000 0.500 0.250
Li3 0.249 0.249 0.625
Ti1 0.124 0.372 0.438
Ti2 0.125 0.125 0.314
Ti3 0.125 0.125 0.813
O1 0.112 0.112 0.194
O2 0.112 0.112 0.694
O3 0.112 0.388 0.056
O4 0.137 0.137 0.931
O5 0.137 0.362 0.819
O6 0.141 0.141 0.429
# energy of formation: -3263.7 meV per atom
# E above lowest polymorph: 0.000 eV/f.u.
# E: -8.28 eV/atom

---

# Li2TiO3, optimized geometry, DFT GGA-PBE
data_Li2TiO3
_chemical_formula_sum 'Li6 Ti3 O9'
_cell_length_a 5.038
_cell_length_b 5.087
_cell_length_c 7.623
_cell_angle_alpha 70.80
_cell_angle_beta 89.56
_cell_angle_gamma 61.89
_symmetry_space_group_name_H-M 'P -1'
_symmetry_Int_Tables_number 2
loop_
_symmetry_equiv_pos_as_xyz
'x,y,z'
'-x,-y,-z'
loop_
_atom_site_label
_atom_site_fract_x
_atom_site_fract_y
_atom_site_fract_z
Li1 0.108 0.270 0.332
Li2 0.217 0.053 0.666
Li3 0.331 0.846 0.003
Ti1 0.000 0.500 0.000
Ti2 0.462 0.613 0.333
O1 0.079 0.854 0.170
O2 0.210 0.648 0.508
O3 0.271 0.444 0.827
O4 0.365 0.262 0.160
O5 0.500 0.000 0.500
# energy of formation: -2148.0 meV per atom
# E: -6.23 eV/atom

---

# Li7Ti12O24, optimized geometry, DFT GGA-PBE
data_Li7Ti12O24
_chemical_formula_sum 'Li7 Ti12 O24'
_cell_length_a 4.019
_cell_length_b 3.999
_cell_length_c 26.163
_cell_angle_alpha 90.00
_cell_angle_beta 90.05
_cell_angle_gamma 90.00
_symmetry_space_group_name_H-M 'P 1 m 1'
_symmetry_Int_Tables_number 6
loop_
_symmetry_equiv_pos_as_xyz
'x,y,z'
'x,-y,z'
loop_
_atom_site_label
_atom_site_fract_x
_atom_site_fract_y
_atom_site_fract_z
Li1 0.000 0.000 0.000
Li2 0.000 0.000 0.328
Li3 0.000 0.500 0.585
Li4 0.501 0.000 0.417
Li5 0.501 0.000 0.748
Li6 0.502 0.500 0.165
Li7 0.502 0.500 0.833
Ti1 0.000 0.000 0.167
Ti2 0.000 0.000 0.498
Ti3 0.001 0.500 0.419
Ti4 0.001 0.500 0.741
Ti5 0.002 0.000 0.836
Ti6 0.028 0.500 0.081
Ti7 0.500 0.000 0.247
Ti8 0.500 0.000 0.576
Ti9 0.500 0.500 0.325
Ti10 0.500 0.500 0.665
Ti11 0.502 0.000 0.914
Ti12 0.502 0.500 0.992
O1 0.000 0.000 0.244
O2 0.000 0.000 0.575
O3 0.000 0.500 0.004
O4 0.000 0.500 0.495
O5 0.000 0.500 0.667
O6 0.001 0.000 0.418
O7 0.001 0.000 0.754
O8 0.001 0.500 0.338
O9 0.001 0.500 0.823
O10 0.002 0.000 0.912
O11 0.491 0.500 0.072
O12 0.499 0.000 0.169
O13 0.500 0.000 0.500
O14 0.500 0.000 0.657
O15 0.500 0.500 0.249
O16 0.500 0.500 0.587
O17 0.501 0.000 0.326
O18 0.501 0.000 0.834
O19 0.501 0.000 0.991
O20 0.501 0.500 0.406
O21 0.501 0.500 0.743
O22 0.501 0.500 0.916
O23 0.998 0.500 0.157
O24 0.999 0.000 0.088
# energy of formation: -3150.8 meV per atom
# E: -8.04 eV/atom